A plane-wave DFT calculation with PBE was carried out for a relaxed Ho2TlCd crystal.

Output
The calculation puts the formation energy at -1.324 eV/f.u. For the total energy, the calculation gives -3.444 eV per atom.

Cell lengths 7.513, 7.513, 7.513 Å; angles 90.00, 90.00, 90.00 degrees
Space group Fm-3m (No. 225)
Unique sites:
Ho  0.250  0.250  0.250 x8
Tl  0.000  0.000  0.000 x4
Cd  0.000  0.000  0.500 x4

***

A plane-wave DFT calculation with PBE was carried out for a relaxed Li2TiPO4F crystal.

Output
The calculation puts the formation energy at -24.361 eV/f.u. For the total energy, the calculation gives -6.665 eV per atom.

Cell lengths 5.416, 5.480, 7.353 Å; angles 105.68, 105.95, 95.86 degrees
Space group P1 (No. 1)
Unique sites:
Li  0.000  0.000  0.000 x1
Li  0.123  0.421  0.311 x1
Li  0.451  0.772  0.303 x1
Li  0.586  0.738  0.673 x1
Ti  0.575  0.235  0.149 x1
Ti  0.584  0.247  0.655 x1
P  0.201  0.573  0.907 x1
P  0.956  0.896  0.389 x1
O  0.231  0.390  0.042 x1
O  0.252  0.913  0.492 x1
O  0.318  0.854  0.054 x1
O  0.349  0.501  0.755 x1
O  0.793  0.964  0.534 x1
O  0.842  0.614  0.253 x1
O  0.909  0.569  0.805 x1
O  0.925  0.087  0.262 x1
F  0.485  0.439  0.422 x1
F  0.666  0.061  0.880 x1

***

A plane-wave DFT calculation with PBE was carried out for a relaxed CeCo4Cu crystal.

Output
The calculation puts the formation energy at -0.564 eV/f.u. For the total energy, the calculation gives -6.505 eV per atom.

Cell lengths 4.9276, 4.9276, 4.0389 Å; angles 90.00, 90.00, 120.00 degrees
Space group P-6m2 (No. 187)
Unique sites:
Ce  0.0000  0.0000  0.0000 x1
Co  0.9995  0.4998  0.5000 x3
Co  0.6667  0.3333  0.0000 x1
Cu  0.3333  0.6667  0.0000 x1

***

Copy entry 1 word for word.
A plane-wave DFT calculation with PBE was carried out for a relaxed Ho2TlCd crystal.

Output
The calculation puts the formation energy at -1.324 eV/f.u. For the total energy, the calculation gives -3.444 eV per atom.

Cell lengths 7.513, 7.513, 7.513 Å; angles 90.00, 90.00, 90.00 degrees
Space group Fm-3m (No. 225)
Unique sites:
Ho  0.250  0.250  0.250 x8
Tl  0.000  0.000  0.000 x4
Cd  0.000  0.000  0.500 x4